[1]
Entry from the Materials Project: a relaxed structure of Li7Mn5O12 (PBE with a Hubbard U).

Energy above the most stable polymorph in this dataset (meV per atom): 18
Calculated formation energy (eV per atom): -2.139
Density (g/cm³): 3.856

a b c (Å): 5.083 7.818 6.038
angles (deg): 75.72 103.28 82.62
Fractional positions:
Mn 0.003 0.671 0.834
Mn 0.002 0.000 0.000
Mn 0.998 0.329 0.169
Mn 0.003 0.670 0.342
Mn 0.995 0.327 0.658
Li 0.514 0.846 0.933
Li 0.483 0.839 0.411
Li 0.522 0.159 0.583
Li 0.505 0.493 0.251
Li 0.479 0.492 0.735
Li 0.502 0.171 0.091
Li 0.993 0.002 0.493
O 0.228 0.088 0.797
O 0.757 0.254 0.357
O 0.214 0.086 0.251
O 0.769 0.578 0.535
O 0.216 0.736 0.604
O 0.232 0.425 0.465
O 0.228 0.429 0.964
O 0.787 0.913 0.747
O 0.795 0.589 0.071
O 0.776 0.905 0.207
O 0.764 0.238 0.863
O 0.234 0.762 0.139


[2]
Entry from the Materials Project: a relaxed structure of VCrO3 (PBE with a Hubbard U).

Calculated formation energy (eV per atom): -2.438
Density (g/cm³): 4.771

a b c (Å): 5.127 5.504 9.072
angles (deg): 85.17 73.64 117.82
Fractional positions:
O 0.750 0.725 0.527
O 0.750 0.224 0.025
O 0.946 0.477 0.277
O 0.946 0.972 0.776
O 0.251 0.773 0.973
O 0.449 0.373 0.876
O 0.051 0.527 0.723
O 0.556 0.624 0.125
O 0.445 0.874 0.375
O 0.551 0.125 0.626
O 0.250 0.276 0.472
O 0.050 0.025 0.223
V 0.354 0.877 0.175
V 0.350 0.377 0.676
V 0.851 0.129 0.425
V 0.151 0.371 0.076
Cr 0.651 0.627 0.325
Cr 0.849 0.621 0.925
Cr 0.149 0.877 0.575
Cr 0.650 0.125 0.825


[3]
Entry from the Materials Project: a relaxed structure of MgMnNbO4 (PBE with a Hubbard U).

Energy above the most stable polymorph in this dataset (meV per atom): 26
Calculated formation energy (eV per atom): -2.576
Density (g/cm³): 4.746

a b c (Å): 5.587 5.587 5.587
angles (deg): 136.17 136.12 63.75
Fractional positions:
O 0.487 0.987 0.500
O 0.776 0.776 0.000
O 0.225 0.225 0.000
O 0.013 0.513 0.500
Nb 0.000 0.000 0.000
Mn 0.749 0.249 0.500
Mg 0.250 0.750 0.500


[4]
Entry from the Materials Project: a relaxed structure of NiN2F4 (PBE with a Hubbard U).

Calculated formation energy (eV per atom): 0.394
Density (g/cm³): 2.711

a b c (Å): 7.434 7.434 7.434
angles (deg): 150.45 150.45 42.28
Fractional positions:
F 0.132 0.132 0.000
F 0.500 0.000 0.500
F 0.868 0.868 0.000
F 0.000 0.500 0.500
Ni 0.000 0.000 0.000
N 0.667 0.667 0.000
N 0.333 0.333 0.000


[5]
Entry from the Materials Project: a relaxed structure of Li9Mn7O16 (PBE with a Hubbard U).

Energy above the most stable polymorph in this dataset (meV per atom): 15
Calculated formation energy (eV per atom): -2.129
Density (g/cm³): 3.912

a b c (Å): 7.809 7.809 13.564
angles (deg): 84.90 84.90 21.24
Fractional positions:
Mn 0.880 0.880 0.385
Mn 0.374 0.374 0.872
Mn 0.000 0.000 0.000
Mn 0.748 0.748 0.741
Mn 0.626 0.626 0.128
Mn 0.120 0.120 0.615
Mn 0.252 0.252 0.259
Li 0.939 0.939 0.679
Li 0.438 0.438 0.193
Li 0.562 0.562 0.807
Li 0.500 0.500 0.500
Li 0.188 0.188 0.939
Li 0.812 0.812 0.061
Li 0.682 0.682 0.445
Li 0.318 0.318 0.555
Li 0.061 0.061 0.321
O 0.211 0.211 0.095
O 0.334 0.334 0.714
O 0.903 0.903 0.514
O 0.958 0.958 0.842
O 0.294 0.294 0.406
O 0.585 0.585 0.966
O 0.539 0.539 0.654
O 0.839 0.839 0.234
O 0.097 0.097 0.486
O 0.161 0.161 0.766
O 0.415 0.415 0.034
O 0.666 0.666 0.286
O 0.461 0.461 0.346
O 0.042 0.042 0.158
O 0.706 0.706 0.594
O 0.789 0.789 0.905


[6]
Entry from the Materials Project: a relaxed structure of Li2Cr5B3O13 (PBE with a Hubbard U).

Calculated formation energy (eV per atom): -2.470
Density (g/cm³): 3.793

a b c (Å): 3.103 9.515 15.837
angles (deg): 74.31 90.00 90.00
Fractional positions:
O 0.750 0.259 0.902
O 0.250 0.741 0.098
O 0.250 0.967 0.947
O 0.250 0.485 0.584
O 0.250 0.038 0.430
O 0.250 0.201 0.642
O 0.250 0.734 0.496
O 0.750 0.620 0.820
O 0.750 0.799 0.358
O 0.750 0.319 0.347
O 0.750 0.266 0.504
O 0.750 0.118 0.797
O 0.750 0.515 0.416
O 0.250 0.681 0.653
O 0.250 0.380 0.180
O 0.250 0.882 0.203
O 0.750 0.033 0.053
O 0.750 0.376 0.745
O 0.750 0.643 0.972
O 0.750 0.847 0.854
O 0.750 0.092 0.287
O 0.250 0.153 0.146
O 0.250 0.624 0.255
O 0.250 0.357 0.028
O 0.750 0.962 0.570
O 0.250 0.908 0.713
B 0.250 0.747 0.187
B 0.750 0.370 0.422
B 0.250 0.303 0.119
B 0.750 0.253 0.813
B 0.250 0.630 0.578
B 0.750 0.697 0.881
Cr 0.250 0.195 0.313
Cr 0.750 0.334 0.623
Cr 0.250 0.666 0.377
Cr 0.250 0.106 0.545
Cr 0.750 0.894 0.455
Cr 0.750 0.021 0.183
Cr 0.250 0.979 0.817
Cr 0.750 0.805 0.687
Cr 0.250 0.149 0.985
Cr 0.750 0.851 0.015
Li 0.750 0.435 0.949
Li 0.250 0.565 0.051
Li 0.750 0.482 0.238
Li 0.250 0.518 0.762